Record 1
16
Lattice="6.4537 0.0000 0.0000 -3.2269 5.5891 0.0000 0.0000 0.0000 10.7529" Properties=species:S:1:pos:R:3 comment="CsMg14Mo, relaxed, DFT PBE-GGA" magmom_total_mub_per_atom=0.044 polymorph_energy_mev_per_atom=0 space_group="P-6m2, No. 187" pbc="T T T"
Cs 0.0000 1.8630 1.3441
Mg -1.5699 4.6827 1.3441
Mg -1.6647 4.6279 6.7205
Mg 3.2269 1.8128 1.3441
Mg 3.2269 1.9223 6.7205
Mg 1.5699 4.6827 1.3441
Mg 1.6648 4.6279 6.7205
Mg 1.5981 0.9404 4.3831
Mg 1.5981 0.9404 9.0580
Mg 0.0000 3.7084 4.3831
Mg 0.0000 3.7084 9.0580
Mg 4.8556 0.9404 4.3831
Mg 4.8556 0.9404 9.0580
Mg 3.2269 3.7261 3.8980
Mg 3.2269 3.7261 9.5431
Mo 0.0000 1.8630 6.7205


Record 2
12
Lattice="-2.7021 2.7021 6.1679 2.7021 -2.7021 6.1679 2.7021 2.7021 -6.1679" Properties=species:S:1:pos:R:3 comment="ReO5, relaxed, DFT PBE-GGA" magmom_total_mub_per_atom=0.500 energy_ev_per_fu=-40.13 space_group="I4_1/a, No. 88" pbc="T T T"
Re 0.0000 2.7021 3.0839
Re 0.0000 0.0000 0.0000
O 2.7021 0.0000 3.0839
O 0.0000 0.0000 6.1679
O 3.4295 1.2476 -2.0809
O -0.7273 1.4545 4.0870
O -1.4545 1.9748 7.1710
O 4.1566 0.7273 1.0031
O 1.9748 1.4545 5.1648
O 0.7273 1.2476 -1.0031
O 1.4545 0.7273 8.2488
O 1.2476 1.9748 2.0809


Record 3
24
Lattice="-2.5159 -4.3576 0.0000 2.5159 -4.3576 0.0000 0.0000 -2.9051 16.2081" Properties=species:S:1:pos:R:3 comment="Nd5Co19, relaxed, DFT PBE-GGA" magmom_total_mub_per_atom=0.975 energy_ev_per_fu=-160.10 space_group="R-3m, No. 166" pbc="T T T"
Nd 0.0000 0.0000 0.0000
Nd 0.0000 -2.9051 12.3652
Nd 0.0000 -8.7152 3.8429
Nd 0.0000 -2.9051 8.7825
Nd 0.0000 -8.7152 7.4256
Co 0.0000 -5.8101 8.1041
Co 0.0000 -2.9051 3.9934
Co 0.0000 -8.7152 12.2147
Co 0.0000 -5.8101 16.1909
Co 0.0000 -5.8101 0.0172
Co 0.0000 -5.8101 12.2516
Co 0.0000 -5.8101 3.9565
Co 1.2430 -5.0924 10.2837
Co 0.0000 -7.2454 10.2837
Co -1.2430 -5.0924 10.2837
Co -1.2430 -6.5278 5.9245
Co 0.0000 -4.3748 5.9245
Co 1.2430 -6.5278 5.9245
Co 1.2602 -5.0825 14.2335
Co 0.0000 -7.2653 14.2335
Co -1.2602 -5.0825 14.2335
Co -1.2602 -6.5377 1.9746
Co 0.0000 -4.3549 1.9746
Co 1.2602 -6.5377 1.9746


Record 4
14
Lattice="2.6928 -5.0817 0.0000 2.6928 5.0817 0.0000 0.0000 0.0000 9.9170" Properties=species:S:1:pos:R:3 comment="Ca2Zn3Au9, relaxed, DFT PBE-GGA" energy_ev_per_fu=-43.56 space_group="C222, No. 21" pbc="T T T"
Ca 1.3464 2.5408 7.4898
Ca 1.3464 -2.5408 2.4272
Zn 0.0000 0.0000 4.9585
Zn 0.0000 0.0000 0.0000
Zn 2.6928 0.0000 4.9585
Au 1.3464 2.5408 0.5664
Au 1.3464 -2.5408 5.4079
Au 1.3464 -2.5408 9.3505
Au 1.3464 2.5408 4.5091
Au 4.0541 0.5065 7.3510
Au 1.3316 0.5065 2.5660
Au 4.0541 -0.5065 2.5660
Au 1.3316 -0.5065 7.3510
Au 2.6928 0.0000 0.0000


Record 5
64
Lattice="-8.2762 0.4352 -1.2208 -1.2056 -3.6278 6.8803 -0.3729 10.0973 6.1275" Properties=species:S:1:pos:R:3 comment="Cu2H6C3N4O, relaxed, DFT PBE-GGA" magmom_total_mub_per_atom=0.000 energy_ev_per_fu=-96.65 space_group="P2_1/c, No. 14" pbc="T T T"
Cu -6.0931 -2.2022 5.6616
Cu -1.9884 7.1680 9.9161
Cu -3.7616 9.1068 6.1255
Cu -7.8663 -0.2634 1.8710
Cu -6.8930 3.7322 2.7034
Cu -3.0053 5.0203 5.5481
Cu -2.9617 3.1725 9.0836
Cu -6.8494 1.8843 6.2389
H -0.8675 7.7455 5.5462
H -5.1379 0.8024 3.2796
H -8.9871 -0.8408 6.2409
H -4.7168 6.1023 8.5075
H -7.8810 8.7483 5.2677
H -3.7225 0.0939 2.7323
H -1.9737 -1.8436 6.5193
H -6.1322 6.8107 9.0548
H -7.5013 7.8516 3.8772
H -3.6693 0.9678 4.1866
H -2.3534 -0.9469 7.9098
H -6.1854 5.9368 7.6004
H -8.1449 7.0879 5.2213
H -3.8167 1.7732 2.7259
H -1.7098 -0.1832 6.5657
H -6.0380 5.1315 9.0611
H -5.3764 7.5035 3.8327
H -1.6233 1.0966 4.8464
H -4.4782 -0.5989 7.9544
H -8.2314 5.8081 6.9406
H -7.0236 2.9695 9.5661
H -2.2809 2.0606 5.8312
H -2.8311 3.9352 2.2209
H -7.5738 4.8440 5.9559
C -4.3546 -2.1986 5.0177
C -8.7950 7.4309 9.8124
C -5.5001 9.1033 6.7694
C -1.0596 -0.5263 1.9746
C -8.6083 4.2803 3.2366
C -4.5413 4.6432 4.5354
C -1.2463 2.6243 8.5505
C -5.3134 2.2615 7.2516
C -6.2050 2.8510 1.1934
C -2.6946 5.8490 7.2054
C -3.6497 4.0537 10.5936
C -7.1601 1.0556 4.5816
N -7.9245 7.3220 10.6047
N -3.2864 -2.1917 4.5113
N -1.9302 -0.4174 1.1823
N -6.5683 9.0963 7.2757
N -5.4646 4.3425 3.8696
N -1.3721 4.2490 4.8335
N -4.3901 2.5621 7.9174
N -8.4826 2.6556 6.9535
N -6.9203 -1.3216 7.1473
N -2.4386 6.3546 8.2419
N -2.9343 8.2263 4.6397
N -7.4161 0.5501 3.5451
N -8.1829 7.9687 4.6642
N -4.1038 0.9094 3.2350
N -1.6717 -1.0641 7.1228
N -5.7509 5.9953 8.5520
O -7.1223 3.8809 9.9051
O -2.3708 1.1592 5.4643
O -2.7324 3.0238 1.8819
O -7.4839 5.7455 6.3227


Record 6
8
Lattice="5.0437 0.0000 0.0000 0.0000 5.0437 0.0000 0.0000 0.0000 5.0437" Properties=species:S:1:pos:R:3 comment="Ti3Pt, relaxed, DFT PBE-GGA" energy_ev_per_fu=-32.34 space_group="Pm-3n, No. 223" pbc="T T T"
Ti 0.0000 1.2609 2.5218
Ti 0.0000 3.7827 2.5218
Ti 1.2609 2.5218 0.0000
Ti 3.7827 2.5218 0.0000
Ti 2.5218 0.0000 1.2609
Ti 2.5218 0.0000 3.7827
Pt 2.5218 2.5218 2.5218
Pt 0.0000 0.0000 0.0000


Record 7
12
Lattice="4.3342 0.0000 0.0000 0.0000 6.8843 0.0000 0.0000 0.0000 7.5938" Properties=species:S:1:pos:R:3 comment="LuGePt, relaxed, DFT PBE-GGA" energy_ev_per_fu=-18.57 space_group="Pnma, No. 62" pbc="T T T"
Lu 3.2507 3.4242 6.0487
Lu 1.0836 0.0179 2.2518
Lu 3.2507 6.8664 5.3420
Lu 1.0836 3.4601 1.5451
Ge 1.0836 4.7583 4.4816
Ge 1.0836 1.3162 6.9091
Ge 3.2507 2.1260 3.1122
Ge 3.2507 5.5681 0.6847
Pt 1.0836 5.4599 6.9566
Pt 1.0836 2.0178 4.4341
Pt 3.2507 4.8665 3.1597
Pt 3.2507 1.4244 0.6372